Here is an optimized crystal structure of Cr2O3 from Materials Project. Energies are from PBE with a Hubbard U.

Results
The energy of formation comes out at -1.960 eV/atom. The calculation puts the total magnetization at 6.00 μB per formula unit. Its energy with MP2020 corrections is -703.17 eV/cell. For the volume, the calculation gives 977 Å³ per cell.

Geometry as CIF:
```
data_Cr2O3
_cell_length_a 9.420
_cell_length_b 10.207
_cell_length_c 10.266
_cell_angle_alpha 91.46
_cell_angle_beta 98.08
_cell_angle_gamma 90.80
_symmetry_space_group_name_H-M 'P 1'
_symmetry_Int_Tables_number 1
_symmetry_space_group_name_Hall 'P 1'
loop_
_atom_site_label
_atom_site_type_symbol
_atom_site_fract_x
_atom_site_fract_y
_atom_site_fract_z
_atom_site_occupancy
Cr1 Cr 0.000 0.000 0.000 1
Cr2 Cr 0.001 0.299 0.588 1
Cr3 Cr 0.027 0.851 0.456 1
Cr4 Cr 0.065 0.580 0.658 1
Cr5 Cr 0.115 0.366 0.862 1
Cr6 Cr 0.128 0.772 0.197 1
Cr7 Cr 0.196 0.072 0.398 1
Cr8 Cr 0.206 0.108 0.865 1
Cr9 Cr 0.211 0.618 0.431 1
Cr10 Cr 0.240 0.241 0.145 1
Cr11 Cr 0.270 0.881 0.688 1
Cr12 Cr 0.301 0.393 0.626 1
Cr13 Cr 0.316 0.662 0.938 1
Cr14 Cr 0.384 0.963 0.145 1
Cr15 Cr 0.462 0.865 0.407 1
Cr16 Cr 0.502 0.902 0.910 1
Cr17 Cr 0.508 0.683 0.632 1
Cr18 Cr 0.512 0.219 0.929 1
Cr19 Cr 0.517 0.447 0.179 1
Cr20 Cr 0.519 0.172 0.392 1
Cr21 Cr 0.554 0.420 0.487 1
Cr22 Cr 0.658 0.650 0.009 1
Cr23 Cr 0.700 0.957 0.182 1
Cr24 Cr 0.755 0.791 0.524 1
Cr25 Cr 0.779 0.074 0.464 1
Cr26 Cr 0.796 0.572 0.713 1
Cr27 Cr 0.798 0.401 0.026 1
Cr28 Cr 0.832 0.569 0.330 1
Cr29 Cr 0.838 0.159 0.801 1
Cr30 Cr 0.907 0.187 0.244 1
Cr31 Cr 0.915 0.847 0.783 1
Cr32 Cr 0.979 0.623 0.986 1
O1 O 0.003 0.436 0.994 1
O2 O 0.018 0.187 0.905 1
O3 O 0.026 0.681 0.330 1
O4 O 0.090 0.932 0.303 1
O5 O 0.104 0.936 0.833 1
O6 O 0.117 0.210 0.280 1
O7 O 0.119 0.449 0.524 1
O8 O 0.159 0.728 0.579 1
O9 O 0.161 0.991 0.553 1
O10 O 0.176 0.258 0.706 1
O11 O 0.177 0.639 0.066 1
O12 O 0.210 0.063 0.063 1
O13 O 0.229 0.512 0.791 1
O14 O 0.295 0.276 0.962 1
O15 O 0.299 0.739 0.327 1
O16 O 0.351 0.841 0.000 1
O17 O 0.367 0.040 0.323 1
O18 O 0.378 0.542 0.530 1
O19 O 0.380 0.032 0.810 1
O20 O 0.410 0.277 0.528 1
O21 O 0.417 0.302 0.253 1
O22 O 0.418 0.852 0.587 1
O23 O 0.421 0.739 0.800 1
O24 O 0.486 0.593 0.047 1
O25 O 0.537 0.039 0.053 1
O26 O 0.537 0.869 0.238 1
O27 O 0.574 0.714 0.462 1
O28 O 0.598 0.358 0.050 1
O29 O 0.601 0.010 0.497 1
O30 O 0.610 0.506 0.654 1
O31 O 0.627 0.502 0.335 1
O32 O 0.672 0.822 0.019 1
O33 O 0.683 0.275 0.480 1
O34 O 0.699 0.118 0.289 1
O35 O 0.718 0.752 0.707 1
O36 O 0.721 0.260 0.877 1
O37 O 0.764 0.558 0.897 1
O38 O 0.804 0.581 0.130 1
O39 O 0.822 0.901 0.373 1
O40 O 0.823 0.994 0.858 1
O41 O 0.858 0.350 0.208 1
O42 O 0.866 0.617 0.538 1
O43 O 0.868 0.056 0.120 1
O44 O 0.888 0.156 0.635 1
O45 O 0.920 0.886 0.607 1
O46 O 0.952 0.423 0.717 1
O47 O 0.982 0.816 0.044 1
O48 O 0.987 0.669 0.800 1
```